# 1
## P4S3 (PBE-GGA)

Data for a relaxed structure of P4S3.

Summary:
crystal system = orthorhombic
energy of formation = -0.36 eV/atom

CIF file:
```
data_P4S3
_cell_length_a 11.9997
_cell_length_b 10.9795
_cell_length_c 7.1782
_cell_angle_alpha 90.00
_cell_angle_beta 90.00
_cell_angle_gamma 90.00
_symmetry_space_group_name_H-M 'P n m a'
_symmetry_Int_Tables_number 62
_symmetry_space_group_name_Hall '-P 2ac 2n'
loop_
_atom_site_label
_atom_site_type_symbol
_atom_site_fract_x
_atom_site_fract_y
_atom_site_fract_z
P1 P 0.0652 0.2500 0.0982
P2 P 0.0713 0.6472 0.7542
P3 P 0.1636 0.7500 0.1579
S1 S 0.0126 0.2500 0.8188
S2 S 0.1830 0.6028 0.9695
```



# 2
## GdAsO4 (PBE-GGA)

Data for a relaxed structure of GdAsO4.

Summary:
polymorph energy (0 for the lowest one) = 0.00 kJ per mole of atoms
crystal system = tetragonal
energy of formation = -2.81 eV/atom

CIF file:
```
data_GdAsO4
_cell_length_a 7.2383
_cell_length_b 7.2383
_cell_length_c 6.4298
_cell_angle_alpha 90.00
_cell_angle_beta 90.00
_cell_angle_gamma 90.00
_symmetry_space_group_name_H-M 'I 41/a m d'
_symmetry_Int_Tables_number 141
loop_
_symmetry_equiv_pos_as_xyz
'x,y,z'
'-x,-y,-z'
'-y+1/4,x+3/4,z+1/4'
'y+1/4,-x+3/4,-z+1/4'
'-x+1/2,-y,z+1/2'
'x+1/2,y,-z+1/2'
'y+1/4,-x+1/4,z+3/4'
'-y+1/4,x+1/4,-z+3/4'
'x,-y,-z'
'-x,y,z'
'-y+1/4,-x+1/4,-z+3/4'
'y+1/4,x+1/4,z+3/4'
'-x+1/2,y,-z+1/2'
'x+1/2,-y,z+1/2'
'y+1/4,x+3/4,-z+1/4'
'-y+1/4,-x+3/4,z+1/4'
'x+1/2,y+1/2,z+1/2'
'-x+1/2,-y+1/2,-z+1/2'
'-y+3/4,x+1/4,z+3/4'
'y+3/4,-x+1/4,-z+3/4'
'-x,-y+1/2,z'
'x,y+1/2,-z'
'y+3/4,-x+3/4,z+1/4'
'-y+3/4,x+3/4,-z+1/4'
'x+1/2,-y+1/2,-z+1/2'
'-x+1/2,y+1/2,z+1/2'
'-y+3/4,-x+3/4,-z+1/4'
'y+3/4,x+3/4,z+1/4'
'-x,y+1/2,-z'
'x,-y+1/2,z'
'y+3/4,x+1/4,-z+3/4'
'-y+3/4,-x+1/4,z+3/4'
loop_
_atom_site_label
_atom_site_type_symbol
_atom_site_fract_x
_atom_site_fract_y
_atom_site_fract_z
Gd1 Gd 0.0000 0.2500 0.3750
As1 As 0.0000 0.2500 0.8750
O1 O 0.0000 0.0696 0.7007
```



What did the second record say?
## GdAsO4 (PBE-GGA)

Data for a relaxed structure of GdAsO4.

Summary:
polymorph energy (0 for the lowest one) = 0.00 kJ per mole of atoms
crystal system = tetragonal
energy of formation = -2.81 eV/atom

CIF file:
```
data_GdAsO4
_cell_length_a 7.2383
_cell_length_b 7.2383
_cell_length_c 6.4298
_cell_angle_alpha 90.00
_cell_angle_beta 90.00
_cell_angle_gamma 90.00
_symmetry_space_group_name_H-M 'I 41/a m d'
_symmetry_Int_Tables_number 141
loop_
_symmetry_equiv_pos_as_xyz
'x,y,z'
'-x,-y,-z'
'-y+1/4,x+3/4,z+1/4'
'y+1/4,-x+3/4,-z+1/4'
'-x+1/2,-y,z+1/2'
'x+1/2,y,-z+1/2'
'y+1/4,-x+1/4,z+3/4'
'-y+1/4,x+1/4,-z+3/4'
'x,-y,-z'
'-x,y,z'
'-y+1/4,-x+1/4,-z+3/4'
'y+1/4,x+1/4,z+3/4'
'-x+1/2,y,-z+1/2'
'x+1/2,-y,z+1/2'
'y+1/4,x+3/4,-z+1/4'
'-y+1/4,-x+3/4,z+1/4'
'x+1/2,y+1/2,z+1/2'
'-x+1/2,-y+1/2,-z+1/2'
'-y+3/4,x+1/4,z+3/4'
'y+3/4,-x+1/4,-z+3/4'
'-x,-y+1/2,z'
'x,y+1/2,-z'
'y+3/4,-x+3/4,z+1/4'
'-y+3/4,x+3/4,-z+1/4'
'x+1/2,-y+1/2,-z+1/2'
'-x+1/2,y+1/2,z+1/2'
'-y+3/4,-x+3/4,-z+1/4'
'y+3/4,x+3/4,z+1/4'
'-x,y+1/2,-z'
'x,-y+1/2,z'
'y+3/4,x+1/4,-z+3/4'
'-y+3/4,-x+1/4,z+3/4'
loop_
_atom_site_label
_atom_site_type_symbol
_atom_site_fract_x
_atom_site_fract_y
_atom_site_fract_z
Gd1 Gd 0.0000 0.2500 0.3750
As1 As 0.0000 0.2500 0.8750
O1 O 0.0000 0.0696 0.7007
```



> Which of these has the lowest energy of formation?

GdAsO4



> Among the records above, which one has the highest energy of formation?

P4S3



> Which value of energy of formation does entry 1 give?

-0.36 eV/atom